Record 1
Density functional theory data (PBE) for crystalline Ca3Ti2Ge3O12 at its relaxed geometry.

Cell: 10.857 10.857 10.857 Å, 109.47 109.47 109.47°
Fractional coordinates of all 80 atoms:
Ca  0.125  0.250  0.375
Ca  0.125  0.375  0.750
Ca  0.250  0.375  0.125
Ca  0.250  0.875  0.625
Ca  0.375  0.125  0.250
Ca  0.375  0.750  0.125
Ca  0.625  0.250  0.875
Ca  0.625  0.875  0.750
Ca  0.750  0.125  0.375
Ca  0.750  0.625  0.875
Ca  0.875  0.625  0.250
Ca  0.875  0.750  0.625
Ti  0.000  0.000  0.000
Ti  0.000  0.000  0.500
Ti  0.000  0.500  0.000
Ti  0.000  0.500  0.500
Ti  0.500  0.000  0.000
Ti  0.500  0.000  0.500
Ti  0.500  0.500  0.000
Ti  0.500  0.500  0.500
Ge  0.125  0.750  0.875
Ge  0.125  0.875  0.250
Ge  0.250  0.125  0.875
Ge  0.250  0.625  0.375
Ge  0.375  0.250  0.625
Ge  0.375  0.625  0.750
Ge  0.625  0.375  0.250
Ge  0.625  0.750  0.375
Ge  0.750  0.375  0.625
Ge  0.750  0.875  0.125
Ge  0.875  0.125  0.750
Ge  0.875  0.250  0.125
O  0.017  0.203  0.118
O  0.017  0.314  0.899
O  0.084  0.703  0.686
O  0.084  0.882  0.399
O  0.101  0.618  0.416
O  0.101  0.983  0.686
O  0.118  0.017  0.203
O  0.118  0.601  0.916
O  0.186  0.203  0.584
O  0.186  0.483  0.601
O  0.203  0.118  0.017
O  0.203  0.584  0.186
O  0.297  0.314  0.916
O  0.297  0.483  0.382
O  0.314  0.899  0.017
O  0.314  0.916  0.297
O  0.382  0.297  0.483
O  0.382  0.584  0.899
O  0.399  0.084  0.882
O  0.399  0.814  0.517
O  0.416  0.101  0.618
O  0.416  0.814  0.797
O  0.483  0.382  0.297
O  0.483  0.601  0.186
O  0.517  0.399  0.814
O  0.517  0.618  0.703
O  0.584  0.186  0.203
O  0.584  0.899  0.382
O  0.601  0.186  0.483
O  0.601  0.916  0.118
O  0.618  0.416  0.101
O  0.618  0.703  0.517
O  0.686  0.084  0.703
O  0.686  0.101  0.983
O  0.703  0.517  0.618
O  0.703  0.686  0.084
O  0.797  0.416  0.814
O  0.797  0.882  0.983
O  0.814  0.517  0.399
O  0.814  0.797  0.416
O  0.882  0.399  0.084
O  0.882  0.983  0.797
O  0.899  0.017  0.314
O  0.899  0.382  0.584
O  0.916  0.118  0.601
O  0.916  0.297  0.314
O  0.983  0.686  0.101
O  0.983  0.797  0.882

---

Record 2
Density functional theory data (PBE) for crystalline Ca2ZrTiGe2O10 at its relaxed geometry.

Cell: 5.682 5.735 7.407 Å, 104.13 104.07 105.89°
Fractional coordinates of all 16 atoms:
Ca  0.183  0.333  0.258
Ca  0.817  0.667  0.742
Zr  0.500  0.000  0.000
Ti  0.500  0.000  0.500
Ge  0.168  0.313  0.745
Ge  0.832  0.687  0.255
O  0.141  0.747  0.423
O  0.173  0.107  0.888
O  0.230  0.622  0.909
O  0.389  0.309  0.610
O  0.424  0.073  0.262
O  0.576  0.927  0.738
O  0.611  0.691  0.390
O  0.770  0.378  0.091
O  0.827  0.893  0.112
O  0.859  0.253  0.577

---

Record 3
Density functional theory data (PBE) for crystalline Ca4ZrTi3Ge4O20 at its relaxed geometry.

Cell: 6.833 8.072 8.081 Å, 68.06 86.77 87.05°
Fractional coordinates of all 32 atoms:
Ca  0.119  0.196  0.053
Ca  0.373  0.300  0.456
Ca  0.627  0.700  0.544
Ca  0.881  0.804  0.947
Zr  0.500  0.500  0.000
Ti  0.000  0.000  0.500
Ti  0.248  0.751  0.254
Ti  0.752  0.249  0.746
Ge  0.117  0.556  0.692
Ge  0.374  0.949  0.804
Ge  0.626  0.051  0.196
Ge  0.883  0.444  0.308
O  0.018  0.345  0.732
O  0.053  0.261  0.345
O  0.124  0.941  0.311
O  0.202  0.908  0.988
O  0.219  0.513  0.901
O  0.264  0.987  0.599
O  0.297  0.596  0.515
O  0.366  0.557  0.206
O  0.447  0.226  0.164
O  0.483  0.156  0.762
O  0.517  0.844  0.238
O  0.553  0.774  0.836
O  0.634  0.443  0.794
O  0.703  0.404  0.485
O  0.736  0.013  0.401
O  0.781  0.487  0.099
O  0.798  0.092  0.012
O  0.876  0.059  0.689
O  0.947  0.739  0.655
O  0.982  0.655  0.268

---

Record 4
Density functional theory data (PBE) for crystalline CaTm2Ge4O12 at its relaxed geometry.

Cell: 10.053 10.053 5.075 Å, 90.00 90.00 90.17°
Fractional coordinates of all 38 atoms:
Ca  0.000  0.000  0.000
Ca  0.500  0.500  0.000
Tm  0.000  0.500  0.000
Tm  0.250  0.250  0.000
Tm  0.500  0.000  0.000
Tm  0.750  0.750  0.000
Ge  0.019  0.750  0.503
Ge  0.250  0.519  0.503
Ge  0.250  0.981  0.503
Ge  0.481  0.750  0.503
Ge  0.519  0.250  0.497
Ge  0.750  0.019  0.497
Ge  0.750  0.481  0.497
Ge  0.981  0.250  0.497
O  0.059  0.329  0.763
O  0.072  0.177  0.247
O  0.123  0.623  0.669
O  0.130  0.870  0.349
O  0.171  0.441  0.237
O  0.177  0.072  0.753
O  0.323  0.428  0.753
O  0.329  0.059  0.237
O  0.370  0.630  0.349
O  0.377  0.877  0.669
O  0.428  0.323  0.247
O  0.441  0.171  0.763
O  0.559  0.829  0.237
O  0.572  0.677  0.753
O  0.623  0.123  0.331
O  0.630  0.370  0.651
O  0.671  0.941  0.763
O  0.677  0.572  0.247
O  0.823  0.928  0.247
O  0.829  0.559  0.763
O  0.870  0.130  0.651
O  0.877  0.377  0.331
O  0.928  0.823  0.753
O  0.941  0.671  0.237

---

Number 1: formation enthalpy at 0 K -2.90 eV/atom, ρ 4219 kg/m³, DFT total energy -7.241 eV per atom. Number 2: formation enthalpy at 0 K -3.09 eV/atom, ρ 4102 kg/m³, DFT total energy -7.610 eV per atom. Number 3: formation enthalpy at 0 K -3.07 eV/atom, ρ 4048 kg/m³, DFT total energy -7.566 eV per atom. Number 4: formation enthalpy at 0 K -2.85 eV/atom, ρ 5572 kg/m³, DFT total energy -7.087 eV per atom.